Entry 1:
AsF3: relaxed, r2SCAN.

Properties
* E_form: -215.1 kJ per mole of atoms

Cell and atoms, written as CIF:
```
data_AsF3
_cell_length_a 6.7629
_cell_length_b 5.0685
_cell_length_c 7.1507
_cell_angle_alpha 90.00
_cell_angle_beta 90.00
_cell_angle_gamma 90.00
_space_group_name_H-M_alt 'P n a 21'
_space_group_IT_number 33
loop_
_space_group_symop_operation_xyz
'x,y,z'
'-x,-y,z+1/2'
'-x+1/2,y+1/2,z+1/2'
'x+1/2,-y+1/2,z'
loop_
_atom_site_label
_atom_site_type_symbol
_atom_site_fract_x
_atom_site_fract_y
_atom_site_fract_z
As1 As 0.2092 0.0397 0.0000
F1 F 0.0607 0.4015 0.5553
F2 F 0.1805 0.8127 0.3889
F3 F 0.1903 0.8685 0.7871
```

Entry 2:
HoNi5: relaxed, r2SCAN.

Properties
* E_form: -30.4 kJ per mole of atoms

Cell and atoms, written as CIF:
```
data_HoNi5
_cell_length_a 4.8169
_cell_length_b 4.8169
_cell_length_c 3.9083
_cell_angle_alpha 90.00
_cell_angle_beta 90.00
_cell_angle_gamma 120.00
_space_group_name_H-M_alt 'P 6/m m m'
_space_group_IT_number 191
_space_group_name_Hall '-P 6 2'
loop_
_atom_site_label
_atom_site_type_symbol
_atom_site_fract_x
_atom_site_fract_y
_atom_site_fract_z
Ho1 Ho 0.0000 0.0000 0.0000
Ni1 Ni 0.0000 0.5000 0.5000
Ni2 Ni 0.3333 0.6667 0.0000
```

Entry 3:
LiMoN2: relaxed, r2SCAN.

Properties
* E_form: -64.6 kJ per mole of atoms

Cell and atoms, written as CIF:
```
data_LiMoN2
_cell_length_a 2.8914
_cell_length_b 2.8914
_cell_length_c 15.8970
_cell_angle_alpha 90.00
_cell_angle_beta 90.00
_cell_angle_gamma 120.00
_space_group_name_H-M_alt 'R 3 m'
_space_group_IT_number 160
_space_group_name_Hall 'R 3 -2"'
loop_
_atom_site_label
_atom_site_type_symbol
_atom_site_fract_x
_atom_site_fract_y
_atom_site_fract_z
Li1 Li 0.0000 0.0000 0.0000
Mo1 Mo 0.0000 0.0000 0.1723
N1 N 0.0000 0.0000 0.4290
N2 N 0.0000 0.0000 0.5830
```

Entry 4:
Bi2Mo3O12: relaxed, r2SCAN.

Properties
* E_form: -187.5 kJ per mole of atoms

Cell and atoms, written as CIF:
```
data_Bi2Mo3O12
_cell_length_a 7.6955
_cell_length_b 11.4076
_cell_length_c 11.8476
_cell_angle_alpha 90.00
_cell_angle_beta 114.31
_cell_angle_gamma 90.00
_space_group_name_H-M_alt 'P 1 21/c 1'
_space_group_IT_number 14
loop_
_space_group_symop_operation_xyz
'x,y,z'
'-x,-y,-z'
'-x,y+1/2,-z+1/2'
'x,-y+1/2,z+1/2'
loop_
_atom_site_label
_atom_site_type_symbol
_atom_site_fract_x
_atom_site_fract_y
_atom_site_fract_z
Bi1 Bi 0.0930 0.1293 0.4224
Bi2 Bi 0.2611 0.6328 0.7582
Mo1 Mo 0.0477 0.6154 0.4189
Mo2 Mo 0.2594 0.1318 0.7952
Mo3 Mo 0.4239 0.6484 0.1069
O1 O 0.0471 0.2075 0.8012
O2 O 0.0590 0.0517 0.2384
O3 O 0.1244 0.2119 0.0769
O4 O 0.1421 0.5485 0.5752
O5 O 0.1526 0.0575 0.6535
O6 O 0.2200 0.6961 0.1464
O7 O 0.2328 0.7074 0.4279
O8 O 0.2970 0.5578 0.9777
O9 O 0.3105 0.0272 0.9056
O10 O 0.3785 0.2068 0.4307
O11 O 0.4579 0.0479 0.2802
O12 O 0.4831 0.1889 0.7897
```

Entry 5:
Ca2PN3: relaxed, r2SCAN.

Properties
* E_form: -131.1 kJ per mole of atoms

Cell and atoms, written as CIF:
```
data_Ca2PN3
_cell_length_a 5.1846
_cell_length_b 10.3204
_cell_length_c 11.2749
_cell_angle_alpha 90.00
_cell_angle_beta 90.00
_cell_angle_gamma 90.00
_space_group_name_H-M_alt 'C m c e'
_space_group_IT_number 64
_space_group_name_Hall '-C 2ac 2'
loop_
_atom_site_label
_atom_site_type_symbol
_atom_site_fract_x
_atom_site_fract_y
_atom_site_fract_z
Ca1 Ca 0.0000 0.0526 0.1423
Ca2 Ca 0.0000 0.1376 0.5740
P1 P 0.0000 0.2446 0.3344
N1 N 0.0000 0.0894 0.3594
N2 N 0.0000 0.1606 0.9489
N3 N 0.2500 0.2118 0.7500
```

Entry 6:
YHSe: relaxed, r2SCAN.

Properties
* E_form: -160.2 kJ per mole of atoms

Cell and atoms, written as CIF:
```
data_YHSe
_cell_length_a 3.8409
_cell_length_b 3.8409
_cell_length_c 3.9155
_cell_angle_alpha 90.00
_cell_angle_beta 90.00
_cell_angle_gamma 120.00
_space_group_name_H-M_alt 'P -6 m 2'
_space_group_IT_number 187
_space_group_name_Hall 'P -6 2'
loop_
_atom_site_label
_atom_site_type_symbol
_atom_site_fract_x
_atom_site_fract_y
_atom_site_fract_z
Y1 Y 0.0000 0.0000 0.0000
H1 H 0.3333 0.6667 0.0000
Se1 Se 0.6667 0.3333 0.5000
```

Entry 7:
AgPbF6: relaxed, r2SCAN.

Properties
* E_form: -168.7 kJ per mole of atoms

Cell and atoms, written as CIF:
```
data_AgPbF6
_cell_length_a 5.1691
_cell_length_b 5.2071
_cell_length_c 5.7677
_cell_angle_alpha 89.12
_cell_angle_beta 65.98
_cell_angle_gamma 61.46
_space_group_name_H-M_alt 'P -1'
_space_group_IT_number 2
loop_
_space_group_symop_operation_xyz
'x,y,z'
'-x,-y,-z'
loop_
_atom_site_label
_atom_site_type_symbol
_atom_site_fract_x
_atom_site_fract_y
_atom_site_fract_z
Ag1 Ag 0.0000 0.0000 0.0000
Pb1 Pb 0.0000 0.5000 0.5000
F1 F 0.1425 0.1029 0.2613
F2 F 0.1715 0.2446 0.7510
F3 F 0.4571 0.4332 0.2713
```

Entry 8:
Dy2Ti3Si4: relaxed, r2SCAN.

Properties
* E_form: -82.5 kJ per mole of atoms

Cell and atoms, written as CIF:
```
data_Dy2Ti3Si4
_cell_length_a 7.0472
_cell_length_b 7.0472
_cell_length_c 12.9359
_cell_angle_alpha 90.00
_cell_angle_beta 90.00
_cell_angle_gamma 90.00
_space_group_name_H-M_alt 'P 41 21 2'
_space_group_IT_number 92
loop_
_space_group_symop_operation_xyz
'x,y,z'
'-y+1/2,x+1/2,z+1/4'
'-x,-y,z+1/2'
'y+1/2,-x+1/2,z+3/4'
'x+1/2,-y+1/2,-z+3/4'
'-y,-x,-z+1/2'
'-x+1/2,y+1/2,-z+1/4'
'y,x,-z'
loop_
_atom_site_label
_atom_site_type_symbol
_atom_site_fract_x
_atom_site_fract_y
_atom_site_fract_z
Dy1 Dy 0.0007 0.3406 0.0340
Ti1 Ti 0.0081 0.1528 0.6237
Ti2 Ti 0.1721 0.8279 0.7500
Si1 Si 0.0481 0.7096 0.9357
Si2 Si 0.1301 0.2039 0.8161
```

Entry 9:
Sr2Al3In: relaxed, r2SCAN.

Properties
* E_form: -34.5 kJ per mole of atoms

Cell and atoms, written as CIF:
```
data_Sr2Al3In
_cell_length_a 11.3333
_cell_length_b 4.8664
_cell_length_c 8.0047
_cell_angle_alpha 90.00
_cell_angle_beta 134.44
_cell_angle_gamma 90.00
_space_group_name_H-M_alt 'C 1 m 1'
_space_group_IT_number 8
loop_
_space_group_symop_operation_xyz
'x,y,z'
'x,-y,z'
'x+1/2,y+1/2,z'
'x+1/2,-y+1/2,z'
loop_
_atom_site_label
_atom_site_type_symbol
_atom_site_fract_x
_atom_site_fract_y
_atom_site_fract_z
Sr1 Sr 0.0000 0.0000 0.0000
Sr2 Sr 0.0959 0.0000 0.5963
Al1 Al 0.2017 0.5000 0.3830
Al2 Al 0.2170 0.5000 0.0416
Al3 Al 0.3873 0.0000 0.1991
In1 In 0.3883 0.0000 0.5767
```

Entry 10:
Li2PmAl: relaxed, r2SCAN.

Properties
* E_form: -22.1 kJ per mole of atoms

Cell and atoms, written as CIF:
```
data_Li2PmAl
_cell_length_a 6.8129
_cell_length_b 6.8129
_cell_length_c 6.8129
_cell_angle_alpha 90.00
_cell_angle_beta 90.00
_cell_angle_gamma 90.00
_space_group_name_H-M_alt 'F m -3 m'
_space_group_IT_number 225
_space_group_name_Hall '-F 4 2 3'
loop_
_atom_site_label
_atom_site_type_symbol
_atom_site_fract_x
_atom_site_fract_y
_atom_site_fract_z
Li1 Li 0.2500 0.2500 0.2500
Pm1 Pm 0.0000 0.0000 0.0000
Al1 Al 0.0000 0.0000 0.5000
```

Entry 11:
Al12Fe7: relaxed, r2SCAN.

Properties
* E_form: -22.6 kJ per mole of atoms

Cell and atoms, written as CIF:
```
data_Al12Fe7
_cell_length_a 4.8451
_cell_length_b 6.3409
_cell_length_c 8.7575
_cell_angle_alpha 88.49
_cell_angle_beta 73.94
_cell_angle_gamma 82.84
_space_group_name_H-M_alt 'P -1'
_space_group_IT_number 2
loop_
_space_group_symop_operation_xyz
'x,y,z'
'-x,-y,-z'
loop_
_atom_site_label
_atom_site_type_symbol
_atom_site_fract_x
_atom_site_fract_y
_atom_site_fract_z
Al1 Al 0.1237 0.1821 0.4733
Al2 Al 0.1834 0.2965 0.8281
Al3 Al 0.2524 0.8860 0.7096
Al4 Al 0.2980 0.5410 0.2971
Al5 Al 0.3446 0.9805 0.1674
Al6 Al 0.3456 0.6639 0.9674
Fe1 Fe 0.0000 0.0000 0.0000
Fe2 Fe 0.0968 0.3407 0.1240
Fe3 Fe 0.2279 0.5268 0.5901
Fe4 Fe 0.4462 0.8281 0.4235
```

Entry 12:
Ti7Al2O15: relaxed, r2SCAN.

Properties
* E_form: -314.5 kJ per mole of atoms

Cell and atoms, written as CIF:
```
data_Ti7Al2O15
_cell_length_a 18.0706
_cell_length_b 2.9718
_cell_length_c 9.4536
_cell_angle_alpha 90.00
_cell_angle_beta 98.55
_cell_angle_gamma 90.00
_space_group_name_H-M_alt 'C 1 2/m 1'
_space_group_IT_number 12
loop_
_space_group_symop_operation_xyz
'x,y,z'
'-x,-y,-z'
'-x,y,-z'
'x,-y,z'
'x+1/2,y+1/2,z'
'-x+1/2,-y+1/2,-z'
'-x+1/2,y+1/2,-z'
'x+1/2,-y+1/2,z'
loop_
_atom_site_label
_atom_site_type_symbol
_atom_site_fract_x
_atom_site_fract_y
_atom_site_fract_z
Ti1 Ti 0.0000 0.0000 0.0000
Ti2 Ti 0.0093 0.5000 0.3510
Ti3 Ti 0.1780 0.5000 0.0465
Ti4 Ti 0.1888 0.0000 0.3846
Al1 Al 0.1580 0.0000 0.7228
O1 O 0.0000 0.0000 0.5000
O2 O 0.0083 0.0000 0.2129
O3 O 0.0744 0.5000 0.0076
O4 O 0.1073 0.5000 0.6951
O5 O 0.1184 0.5000 0.3942
O6 O 0.1874 0.0000 0.1855
O7 O 0.2001 0.0000 0.9070
O8 O 0.2262 0.0000 0.6028
```

Entry 13:
Pu3Ge: relaxed, r2SCAN.

Properties
* E_form: -62.4 kJ per mole of atoms

Cell and atoms, written as CIF:
```
data_Pu3Ge
_cell_length_a 4.5877
_cell_length_b 4.5877
_cell_length_c 4.5877
_cell_angle_alpha 90.00
_cell_angle_beta 90.00
_cell_angle_gamma 90.00
_space_group_name_H-M_alt 'P m -3 m'
_space_group_IT_number 221
_space_group_name_Hall '-P 4 2 3'
loop_
_atom_site_label
_atom_site_type_symbol
_atom_site_fract_x
_atom_site_fract_y
_atom_site_fract_z
Pu1 Pu 0.0000 0.0000 0.5000
Ge1 Ge 0.5000 0.5000 0.5000
```

Entry 14:
PaZnPt2: relaxed, r2SCAN.

Properties
* E_form: -80.2 kJ per mole of atoms

Cell and atoms, written as CIF:
```
data_PaZnPt2
_cell_length_a 6.6841
_cell_length_b 6.6841
_cell_length_c 6.6841
_cell_angle_alpha 90.00
_cell_angle_beta 90.00
_cell_angle_gamma 90.00
_space_group_name_H-M_alt 'F m -3 m'
_space_group_IT_number 225
_space_group_name_Hall '-F 4 2 3'
loop_
_atom_site_label
_atom_site_type_symbol
_atom_site_fract_x
_atom_site_fract_y
_atom_site_fract_z
Pa1 Pa 0.0000 0.0000 0.0000
Zn1 Zn 0.0000 0.0000 0.5000
Pt1 Pt 0.2500 0.2500 0.2500
```

Entry 15:
GdZn: relaxed, r2SCAN.

Properties
* E_form: -33.3 kJ per mole of atoms

Cell and atoms, written as CIF:
```
data_GdZn
_cell_length_a 3.5839
_cell_length_b 3.5839
_cell_length_c 3.5839
_cell_angle_alpha 90.00
_cell_angle_beta 90.00
_cell_angle_gamma 90.00
_space_group_name_H-M_alt 'P m -3 m'
_space_group_IT_number 221
_space_group_name_Hall '-P 4 2 3'
loop_
_atom_site_label
_atom_site_type_symbol
_atom_site_fract_x
_atom_site_fract_y
_atom_site_fract_z
Gd1 Gd 0.0000 0.0000 0.0000
Zn1 Zn 0.5000 0.5000 0.5000
```

Entry 16:
Tl4Si5O12: relaxed, r2SCAN.

Properties
* E_form: -234.9 kJ per mole of atoms

Cell and atoms, written as CIF:
```
data_Tl4Si5O12
_cell_length_a 9.2273
_cell_length_b 11.6631
_cell_length_c 13.1887
_cell_angle_alpha 90.00
_cell_angle_beta 94.66
_cell_angle_gamma 90.00
_space_group_name_H-M_alt 'C 1 2/c 1'
_space_group_IT_number 15
loop_
_space_group_symop_operation_xyz
'x,y,z'
'-x,-y,-z'
'-x,y,-z+1/2'
'x,-y,z+1/2'
'x+1/2,y+1/2,z'
'-x+1/2,-y+1/2,-z'
'-x+1/2,y+1/2,-z+1/2'
'x+1/2,-y+1/2,z+1/2'
loop_
_atom_site_label
_atom_site_type_symbol
_atom_site_fract_x
_atom_site_fract_y
_atom_site_fract_z
Tl1 Tl 0.1021 0.0295 0.3765
Tl2 Tl 0.1674 0.2022 0.6311
Si1 Si 0.0000 0.4901 0.2500
Si2 Si 0.0568 0.3045 0.0815
Si3 Si 0.2262 0.3924 0.8973
O1 O 0.0506 0.4128 0.1584
O2 O 0.0943 0.2374 0.4375
O3 O 0.1060 0.3546 0.9745
O4 O 0.1354 0.4302 0.7908
O5 O 0.1653 0.0094 0.0589
O6 O 0.1860 0.2226 0.1332
```